No. 1
## Gd5Fe2B6 (PBE)

Data for crystalline Gd5Fe2B6 at its relaxed geometry. Values from VASP.

- M_tot: 21.49 μB per formula unit
- Symmetry: R-3m, No. 166
- Uncorrected energy: -10.27 eV per atom
- V: 15.249 Å³ per atom
- DFT formation energy: -466.7 meV/atom

Structure (Quantum ESPRESSO input):
```
&SYSTEM
  ibrav = 0, nat = 13, ntyp = 3
/
ATOMIC_SPECIES
Gd 157.25 Gd.upf
Fe 55.84 Fe.upf
B 10.81 B.upf
CELL_PARAMETERS angstrom
-2.716 -4.705 0.000
-5.432 0.000 0.000
-2.716 -1.568 -7.756
ATOMIC_POSITIONS crystal
Gd 0.000 0.000 0.000
Gd 0.749 0.749 0.753
Gd 0.251 0.251 0.247
Gd 0.584 0.584 0.249
Gd 0.416 0.416 0.751
Fe 0.883 0.883 0.352
Fe 0.117 0.117 0.648
B 0.500 0.168 0.500
B 0.832 0.500 0.500
B 0.168 0.832 0.500
B 0.168 0.500 0.500
B 0.832 0.168 0.500
B 0.500 0.832 0.500
```

***

No. 2
## HoFe2B2 (PBE)

Data for crystalline HoFe2B2 at its relaxed geometry. Values from VASP.

- Symmetry: I4/mmm, No. 139
- Uncorrected energy: -7.42 eV per atom
- V: 12.095 Å³ per atom
- DFT formation energy: -445.4 meV/atom

Structure (Quantum ESPRESSO input):
```
&SYSTEM
  ibrav = 0, nat = 5, ntyp = 3
/
ATOMIC_SPECIES
Ho 164.93 Ho.upf
Fe 55.84 Fe.upf
B 10.81 B.upf
CELL_PARAMETERS angstrom
-0.854 -1.317 3.243
-1.735 -2.740 -1.570
5.226 -0.472 -0.816
ATOMIC_POSITIONS crystal
Ho 0.000 0.000 0.000
Fe 0.250 0.750 0.500
Fe 0.750 0.250 0.500
B 0.343 0.343 0.686
B 0.657 0.657 0.314
```

***

No. 3
## NdHoFe14B (PBE)

Data for crystalline NdHoFe14B at its relaxed geometry. Values from VASP.

- M_tot: 31.06 μB per formula unit
- Symmetry: P4_2/mnm, No. 136
- Uncorrected energy: -8.00 eV per atom
- V: 13.394 Å³ per atom
- DFT formation energy: -77.9 meV/atom

Structure (Quantum ESPRESSO input):
```
&SYSTEM
  ibrav = 0, nat = 68, ntyp = 4
/
ATOMIC_SPECIES
Nd 144.24 Nd.upf
Ho 164.93 Ho.upf
Fe 55.84 Fe.upf
B 10.81 B.upf
CELL_PARAMETERS angstrom
8.736 0.000 0.000
0.000 8.736 0.000
0.000 0.000 11.936
ATOMIC_POSITIONS crystal
Nd 0.234 0.766 0.500
Nd 0.766 0.234 0.500
Nd 0.266 0.266 0.000
Nd 0.734 0.734 0.000
Ho 0.645 0.645 0.500
Ho 0.355 0.355 0.500
Ho 0.855 0.145 0.000
Ho 0.145 0.855 0.000
Fe 0.932 0.725 0.372
Fe 0.068 0.275 0.372
Fe 0.568 0.225 0.872
Fe 0.432 0.775 0.872
Fe 0.068 0.275 0.628
Fe 0.932 0.725 0.628
Fe 0.432 0.775 0.128
Fe 0.568 0.225 0.128
Fe 0.725 0.932 0.372
Fe 0.275 0.068 0.372
Fe 0.225 0.568 0.872
Fe 0.775 0.432 0.872
Fe 0.275 0.068 0.628
Fe 0.725 0.932 0.628
Fe 0.775 0.432 0.128
Fe 0.225 0.568 0.128
Fe 0.140 0.536 0.325
Fe 0.860 0.464 0.325
Fe 0.360 0.036 0.825
Fe 0.640 0.964 0.825
Fe 0.860 0.464 0.675
Fe 0.140 0.536 0.675
Fe 0.640 0.964 0.175
Fe 0.360 0.036 0.175
Fe 0.536 0.140 0.325
Fe 0.464 0.860 0.325
Fe 0.036 0.360 0.825
Fe 0.964 0.640 0.825
Fe 0.464 0.860 0.675
Fe 0.536 0.140 0.675
Fe 0.964 0.640 0.175
Fe 0.036 0.360 0.175
Fe 0.182 0.818 0.253
Fe 0.818 0.182 0.253
Fe 0.318 0.318 0.753
Fe 0.682 0.682 0.753
Fe 0.818 0.182 0.747
Fe 0.182 0.818 0.747
Fe 0.682 0.682 0.247
Fe 0.318 0.318 0.247
Fe 0.403 0.597 0.301
Fe 0.597 0.403 0.301
Fe 0.097 0.097 0.801
Fe 0.903 0.903 0.801
Fe 0.597 0.403 0.699
Fe 0.403 0.597 0.699
Fe 0.903 0.903 0.199
Fe 0.097 0.097 0.199
Fe 0.500 0.500 0.117
Fe 0.000 0.000 0.617
Fe 0.500 0.500 0.883
Fe 0.000 0.000 0.383
Fe 0.000 0.500 0.500
Fe 0.500 0.000 0.000
Fe 0.500 0.000 0.500
Fe 0.000 0.500 0.000
B 0.877 0.877 0.500
B 0.123 0.123 0.500
B 0.623 0.377 0.000
B 0.377 0.623 0.000
```